VASP calculation (PBE) on crystalline NdC3O9 at its relaxed geometry.

The structure in POSCAR format:
```
NdC3O9
1.0
12.043 0.000 0.000
0.000 9.223 0.000
-4.031 0.000 10.653
Nd C O
4 12 36
Direct
0.175 0.013 0.283 Nd
0.175 0.487 0.783 Nd
0.825 0.513 0.217 Nd
0.825 0.987 0.717 Nd
0.025 0.578 0.497 C
0.025 0.922 0.997 C
0.102 0.040 0.631 C
0.102 0.460 0.131 C
0.488 0.600 0.863 C
0.488 0.900 0.363 C
0.512 0.100 0.637 C
0.512 0.400 0.137 C
0.898 0.540 0.869 C
0.898 0.960 0.369 C
0.975 0.078 0.003 C
0.975 0.422 0.503 C
0.017 0.143 0.107 O
0.017 0.357 0.607 O
0.040 0.000 0.684 O
0.040 0.500 0.184 O
0.103 0.625 0.598 O
0.103 0.875 0.098 O
0.163 0.076 0.576 O
0.163 0.424 0.076 O
0.215 0.237 0.831 O
0.215 0.263 0.331 O
0.231 0.644 0.941 O
0.231 0.856 0.441 O
0.304 0.211 0.298 O
0.304 0.289 0.798 O
0.392 0.583 0.787 O
0.392 0.917 0.287 O
0.417 0.116 0.562 O
0.417 0.384 0.062 O
0.583 0.616 0.938 O
0.583 0.884 0.438 O
0.608 0.083 0.713 O
0.608 0.417 0.213 O
0.696 0.711 0.202 O
0.696 0.789 0.702 O
0.769 0.144 0.559 O
0.769 0.356 0.059 O
0.785 0.737 0.669 O
0.785 0.763 0.169 O
0.837 0.576 0.924 O
0.837 0.924 0.424 O
0.897 0.125 0.902 O
0.897 0.375 0.402 O
0.960 0.000 0.316 O
0.960 0.500 0.816 O
0.983 0.643 0.393 O
0.983 0.857 0.893 O
```

Properties
Its crystal system is monoclinic. As for the formation energy: -1328 meV/atom.

---

VASP calculation (PBE) on crystalline NdCO4 at its relaxed geometry.

The structure in POSCAR format:
```
NdCO4
1.0
7.357 0.000 0.000
0.000 4.990 0.000
0.000 0.000 8.454
Nd C O
4 4 16
Direct
0.145 0.250 0.166 Nd
0.355 0.750 0.666 Nd
0.645 0.250 0.334 Nd
0.855 0.750 0.834 Nd
0.197 0.250 0.820 C
0.303 0.750 0.320 C
0.697 0.250 0.680 C
0.803 0.750 0.180 C
0.037 0.750 0.600 O
0.151 0.025 0.886 O
0.151 0.475 0.886 O
0.205 0.750 0.194 O
0.295 0.250 0.694 O
0.349 0.525 0.386 O
0.349 0.975 0.386 O
0.463 0.250 0.100 O
0.537 0.750 0.900 O
0.651 0.025 0.614 O
0.651 0.475 0.614 O
0.705 0.750 0.306 O
0.795 0.250 0.806 O
0.849 0.525 0.114 O
0.849 0.975 0.114 O
0.963 0.250 0.400 O
```

Properties
For the energy above the most stable polymorph in this dataset, the calculation gives 66 meV per atom. Its crystal system is orthorhombic. As for the formation energy: -2443 meV/atom.

---

VASP calculation (PBE) on crystalline NdC3O11 at its relaxed geometry.

The structure in POSCAR format:
```
NdC3O11
1.0
11.187 0.000 0.000
0.000 9.917 0.000
-3.417 0.000 9.573
Nd C O
4 12 44
Direct
0.177 0.142 0.352 Nd
0.177 0.358 0.852 Nd
0.823 0.642 0.148 Nd
0.823 0.858 0.648 Nd
0.048 0.023 0.574 C
0.048 0.477 0.074 C
0.066 0.650 0.508 C
0.066 0.850 0.008 C
0.492 0.625 0.866 C
0.492 0.875 0.366 C
0.508 0.125 0.634 C
0.508 0.375 0.134 C
0.934 0.150 0.992 C
0.934 0.350 0.492 C
0.952 0.523 0.926 C
0.952 0.977 0.426 C
0.007 0.014 0.675 O
0.007 0.486 0.175 O
0.007 0.665 0.389 O
0.007 0.835 0.889 O
0.133 0.639 0.624 O
0.133 0.861 0.124 O
0.138 0.158 0.914 O
0.138 0.342 0.414 O
0.155 0.066 0.576 O
0.155 0.434 0.076 O
0.294 0.665 0.017 O
0.294 0.835 0.517 O
0.326 0.162 0.250 O
0.326 0.338 0.750 O
0.386 0.606 0.797 O
0.386 0.894 0.297 O
0.393 0.674 0.118 O
0.393 0.826 0.618 O
0.403 0.143 0.562 O
0.403 0.357 0.062 O
0.445 0.502 0.458 O
0.445 0.998 0.958 O
0.555 0.002 0.042 O
0.555 0.498 0.542 O
0.597 0.643 0.938 O
0.597 0.857 0.438 O
0.607 0.174 0.382 O
0.607 0.326 0.882 O
0.614 0.106 0.703 O
0.614 0.394 0.203 O
0.674 0.662 0.250 O
0.674 0.838 0.750 O
0.706 0.165 0.483 O
0.706 0.335 0.983 O
0.845 0.566 0.924 O
0.845 0.934 0.424 O
0.862 0.658 0.586 O
0.862 0.842 0.086 O
0.867 0.139 0.876 O
0.867 0.361 0.376 O
0.993 0.165 0.111 O
0.993 0.335 0.611 O
0.993 0.514 0.825 O
0.993 0.986 0.325 O
```

Properties
Its crystal system is monoclinic. As for the formation energy: -1072 meV/atom.

---

VASP calculation (PBE) on crystalline NdCO4 at its relaxed geometry.

The structure in POSCAR format:
```
NdCO4
1.0
12.586 0.000 0.000
-6.293 10.900 0.000
0.000 0.000 9.933
Nd C O
18 18 72
Direct
0.101 0.553 0.247 Nd
0.101 0.553 0.753 Nd
0.110 0.230 0.248 Nd
0.110 0.230 0.752 Nd
0.120 0.890 0.248 Nd
0.120 0.890 0.752 Nd
0.438 0.220 0.257 Nd
0.438 0.220 0.743 Nd
0.447 0.548 0.247 Nd
0.447 0.548 0.753 Nd
0.452 0.899 0.247 Nd
0.452 0.899 0.753 Nd
0.770 0.880 0.248 Nd
0.770 0.880 0.752 Nd
0.780 0.218 0.257 Nd
0.780 0.218 0.743 Nd
0.782 0.562 0.257 Nd
0.782 0.562 0.743 Nd
0.158 0.470 0.500 C
0.172 0.701 0.000 C
0.192 0.163 0.000 C
0.200 0.033 0.500 C
0.299 0.470 0.000 C
0.312 0.842 0.500 C
0.494 0.354 0.000 C
0.530 0.688 0.500 C
0.530 0.828 0.000 C
0.554 0.423 0.500 C
0.577 0.131 0.500 C
0.646 0.139 0.000 C
0.833 0.800 0.500 C
0.837 0.029 0.000 C
0.861 0.506 0.000 C
0.869 0.446 0.500 C
0.967 0.167 0.500 C
0.971 0.808 0.000 C
0.000 0.000 0.254 O
0.000 0.000 0.746 O
0.005 0.673 0.308 O
0.005 0.673 0.692 O
0.073 0.173 0.500 O
0.079 0.907 0.000 O
0.093 0.173 0.000 O
0.100 0.927 0.500 O
0.151 0.570 0.500 O
0.160 0.423 0.386 O
0.160 0.423 0.614 O
0.161 0.593 0.000 O
0.175 0.751 0.115 O
0.175 0.751 0.885 O
0.239 0.161 0.115 O
0.239 0.161 0.885 O
0.248 0.082 0.386 O
0.248 0.082 0.614 O
0.249 0.423 0.115 O
0.249 0.423 0.885 O
0.262 0.840 0.386 O
0.262 0.840 0.614 O
0.327 0.331 0.308 O
0.327 0.331 0.692 O
0.333 0.667 0.251 O
0.333 0.667 0.749 O
0.341 0.005 0.193 O
0.341 0.005 0.807 O
0.407 0.568 0.000 O
0.419 0.849 0.500 O
0.430 0.581 0.500 O
0.432 0.839 0.000 O
0.490 0.250 0.000 O
0.494 0.404 0.114 O
0.494 0.404 0.886 O
0.495 0.304 0.500 O
0.519 0.102 0.386 O
0.519 0.102 0.614 O
0.577 0.738 0.386 O
0.577 0.738 0.614 O
0.577 0.825 0.115 O
0.577 0.825 0.885 O
0.582 0.481 0.386 O
0.582 0.481 0.614 O
0.596 0.090 0.114 O
0.596 0.090 0.886 O
0.664 0.659 0.193 O
0.664 0.659 0.807 O
0.667 0.333 0.247 O
0.667 0.333 0.753 O
0.669 0.995 0.308 O
0.669 0.995 0.692 O
0.696 0.191 0.500 O
0.750 0.240 0.000 O
0.760 0.510 0.000 O
0.809 0.505 0.500 O
0.827 0.900 0.500 O
0.827 0.921 0.000 O
0.834 0.752 0.386 O
0.834 0.752 0.614 O
0.839 0.078 0.115 O
0.839 0.078 0.885 O
0.898 0.418 0.386 O
0.898 0.418 0.614 O
0.910 0.506 0.114 O
0.910 0.506 0.886 O
0.918 0.166 0.386 O
0.918 0.166 0.614 O
0.922 0.761 0.115 O
0.922 0.761 0.885 O
0.995 0.336 0.193 O
0.995 0.336 0.807 O
```

Properties
For the energy above the most stable polymorph in this dataset, the calculation gives 8 meV per atom. Its crystal system is hexagonal. As for the formation energy: -2501 meV/atom.

---

VASP calculation (PBE) on crystalline Nd12Os5C15 at its relaxed geometry.

The structure in POSCAR format:
```
Nd12Os5C15
1.0
10.990 0.000 0.000
-5.495 9.518 0.000
0.000 0.000 5.346
Nd Os C
12 5 15
Direct
0.000 0.427 0.000 Nd
0.000 0.793 0.000 Nd
0.184 0.726 0.500 Nd
0.207 0.207 0.000 Nd
0.274 0.458 0.500 Nd
0.427 0.000 0.000 Nd
0.458 0.274 0.500 Nd
0.542 0.816 0.500 Nd
0.573 0.573 0.000 Nd
0.726 0.184 0.500 Nd
0.793 0.000 0.000 Nd
0.816 0.542 0.500 Nd
0.000 0.160 0.500 Os
0.160 0.000 0.500 Os
0.333 0.667 0.000 Os
0.667 0.333 0.000 Os
0.840 0.840 0.500 Os
0.000 0.331 0.500 C
0.000 0.452 0.500 C
0.000 0.799 0.500 C
0.187 0.713 0.000 C
0.201 0.201 0.500 C
0.287 0.474 0.000 C
0.331 0.000 0.500 C
0.452 0.000 0.500 C
0.474 0.287 0.000 C
0.526 0.813 0.000 C
0.548 0.548 0.500 C
0.669 0.669 0.500 C
0.713 0.187 0.000 C
0.799 0.000 0.500 C
0.813 0.526 0.000 C
```

Properties
Its crystal system is hexagonal. As for the formation energy: -242 meV/atom.

---

VASP calculation (PBE) on crystalline NdPOs2C at its relaxed geometry.

The structure in POSCAR format:
```
NdPOs2C
1.0
1.972 -5.535 0.000
1.972 5.535 0.000
0.000 0.000 7.121
Nd P Os C
2 2 4 2
Direct
0.046 0.954 0.750 Nd
0.954 0.046 0.250 Nd
0.231 0.769 0.250 P
0.769 0.231 0.750 P
0.333 0.667 0.553 Os
0.333 0.667 0.947 Os
0.667 0.333 0.053 Os
0.667 0.333 0.447 Os
0.500 0.500 0.000 C
0.500 0.500 0.500 C
```

Properties
Its crystal system is orthorhombic. As for the formation energy: -455 meV/atom.

---

VASP calculation (PBE) on crystalline Nd2ReC2 at its relaxed geometry.

The structure in POSCAR format:
```
Nd2ReC2
1.0
6.713 0.000 0.000
0.000 5.364 0.000
0.000 0.000 10.221
Nd Re C
8 4 8
Direct
0.026 0.250 0.214 Nd
0.188 0.250 0.551 Nd
0.312 0.750 0.051 Nd
0.474 0.750 0.714 Nd
0.526 0.250 0.286 Nd
0.688 0.250 0.949 Nd
0.812 0.750 0.449 Nd
0.974 0.750 0.786 Nd
0.230 0.250 0.858 Re
0.270 0.750 0.358 Re
0.730 0.250 0.642 Re
0.770 0.750 0.142 Re
0.034 0.750 0.242 C
0.186 0.750 0.538 C
0.314 0.250 0.038 C
0.466 0.250 0.742 C
0.534 0.750 0.258 C
0.686 0.750 0.962 C
0.814 0.250 0.462 C
0.966 0.250 0.758 C
```

Properties
Its crystal system is orthorhombic. As for the formation energy: -266 meV/atom.

---

VASP calculation (PBE) on crystalline Nd12Re5C15 at its relaxed geometry.

The structure in POSCAR format:
```
Nd12Re5C15
1.0
11.026 0.000 0.000
-5.513 9.549 0.000
0.000 0.000 5.348
Nd Re C
12 5 15
Direct
0.000 0.424 0.000 Nd
0.000 0.795 0.000 Nd
0.187 0.730 0.500 Nd
0.205 0.205 0.000 Nd
0.270 0.457 0.500 Nd
0.424 0.000 0.000 Nd
0.457 0.270 0.500 Nd
0.543 0.813 0.500 Nd
0.576 0.576 0.000 Nd
0.730 0.187 0.500 Nd
0.795 0.000 0.000 Nd
0.813 0.543 0.500 Nd
0.000 0.154 0.500 Re
0.154 0.000 0.500 Re
0.333 0.667 0.000 Re
0.667 0.333 0.000 Re
0.846 0.846 0.500 Re
0.000 0.329 0.500 C
0.000 0.453 0.500 C
0.000 0.793 0.500 C
0.192 0.718 0.000 C
0.207 0.207 0.500 C
0.282 0.473 0.000 C
0.329 0.000 0.500 C
0.453 0.000 0.500 C
0.473 0.282 0.000 C
0.527 0.808 0.000 C
0.547 0.547 0.500 C
0.671 0.671 0.500 C
0.718 0.192 0.000 C
0.793 0.000 0.500 C
0.808 0.527 0.000 C
```

Properties
Its crystal system is hexagonal. As for the formation energy: -251 meV/atom.

---

VASP calculation (PBE) on crystalline Nd5Si3C at its relaxed geometry.

The structure in POSCAR format:
```
Nd5Si3C
1.0
8.778 0.000 0.000
-4.389 7.602 0.000
0.000 0.000 6.727
Nd Si C
10 6 2
Direct
0.000 0.224 0.250 Nd
0.000 0.776 0.750 Nd
0.224 0.000 0.250 Nd
0.224 0.224 0.750 Nd
0.333 0.667 0.000 Nd
0.333 0.667 0.500 Nd
0.667 0.333 0.000 Nd
0.667 0.333 0.500 Nd
0.776 0.000 0.750 Nd
0.776 0.776 0.250 Nd
0.000 0.409 0.750 Si
0.000 0.591 0.250 Si
0.409 0.000 0.750 Si
0.409 0.409 0.250 Si
0.591 0.000 0.250 Si
0.591 0.591 0.750 Si
0.000 0.000 0.000 C
0.000 0.000 0.500 C
```

Properties
Its crystal system is hexagonal. As for the formation energy: -456 meV/atom.

---

VASP calculation (PBE) on crystalline Nd3SnC at its relaxed geometry.

The structure in POSCAR format:
```
Nd3SnC
1.0
5.819 0.000 0.000
0.000 5.819 0.000
0.000 0.000 5.819
Nd Sn C
3 1 1
Direct
0.000 0.000 0.500 Nd
0.000 0.500 0.000 Nd
0.500 0.000 0.000 Nd
0.000 0.000 0.000 Sn
0.500 0.500 0.500 C
```

Properties
Its crystal system is cubic. As for the formation energy: 1418 meV/atom.

---

VASP calculation (PBE) on crystalline Nd3TlC at its relaxed geometry.

The structure in POSCAR format:
```
Nd3TlC
1.0
5.826 0.000 0.000
0.000 5.826 0.000
0.000 0.000 5.826
Nd Tl C
3 1 1
Direct
0.000 0.000 0.500 Nd
0.000 0.500 0.000 Nd
0.500 0.000 0.000 Nd
0.000 0.000 0.000 Tl
0.500 0.500 0.500 C
```

Properties
Its crystal system is cubic. As for the formation energy: 1605 meV/atom.

---

Question: Which formula does entry 4 have?
Answer: NdCO4

---

Please write out number 10 again, unchanged.
VASP calculation (PBE) on crystalline Nd3SnC at its relaxed geometry.

The structure in POSCAR format:
```
Nd3SnC
1.0
5.819 0.000 0.000
0.000 5.819 0.000
0.000 0.000 5.819
Nd Sn C
3 1 1
Direct
0.000 0.000 0.500 Nd
0.000 0.500 0.000 Nd
0.500 0.000 0.000 Nd
0.000 0.000 0.000 Sn
0.500 0.500 0.500 C
```

Properties
Its crystal system is cubic. As for the formation energy: 1418 meV/atom.

---

Repeat the eighth record exactly.
VASP calculation (PBE) on crystalline Nd12Re5C15 at its relaxed geometry.

The structure in POSCAR format:
```
Nd12Re5C15
1.0
11.026 0.000 0.000
-5.513 9.549 0.000
0.000 0.000 5.348
Nd Re C
12 5 15
Direct
0.000 0.424 0.000 Nd
0.000 0.795 0.000 Nd
0.187 0.730 0.500 Nd
0.205 0.205 0.000 Nd
0.270 0.457 0.500 Nd
0.424 0.000 0.000 Nd
0.457 0.270 0.500 Nd
0.543 0.813 0.500 Nd
0.576 0.576 0.000 Nd
0.730 0.187 0.500 Nd
0.795 0.000 0.000 Nd
0.813 0.543 0.500 Nd
0.000 0.154 0.500 Re
0.154 0.000 0.500 Re
0.333 0.667 0.000 Re
0.667 0.333 0.000 Re
0.846 0.846 0.500 Re
0.000 0.329 0.500 C
0.000 0.453 0.500 C
0.000 0.793 0.500 C
0.192 0.718 0.000 C
0.207 0.207 0.500 C
0.282 0.473 0.000 C
0.329 0.000 0.500 C
0.453 0.000 0.500 C
0.473 0.282 0.000 C
0.527 0.808 0.000 C
0.547 0.547 0.500 C
0.671 0.671 0.500 C
0.718 0.192 0.000 C
0.793 0.000 0.500 C
0.808 0.527 0.000 C
```

Properties
Its crystal system is hexagonal. As for the formation energy: -251 meV/atom.